## MgCu2Te2O8 (PBE)

Data for a relaxed MgCu2Te2O8 crystal.

Geometry as POSCAR:
```
MgCu2Te2O8
1.0
6.287 0.000 -0.111
0.000 8.749 0.000
-0.005 0.000 13.397
Cu O Te Mg
8 32 8 4
Cartesian
2.476 3.725 1.594
1.592 5.974 8.136
1.595 7.150 1.437
3.809 8.100 4.994
2.474 0.650 8.293
3.806 5.025 11.693
4.688 1.599 11.850
4.690 2.776 5.151
3.258 5.195 8.737
6.018 6.555 1.138
5.063 3.868 6.799
0.264 2.194 12.149
3.022 0.820 11.249
3.610 6.248 5.658
2.673 2.501 7.629
1.740 7.741 8.876
6.016 6.569 7.837
0.580 3.255 1.542
1.743 5.383 2.177
0.577 1.119 8.241
4.334 4.252 1.359
1.949 4.498 11.928
1.951 8.626 5.229
3.607 6.876 12.357
3.261 7.929 2.038
4.540 3.366 11.110
4.331 0.123 8.058
3.024 3.554 4.550
5.703 5.494 11.745
5.831 8.266 10.575
5.833 4.858 3.876
5.705 7.630 5.046
0.452 0.483 2.712
1.219 4.882 6.488
4.542 1.008 4.411
0.449 3.892 9.411
2.675 1.873 0.930
5.066 0.507 0.101
0.267 2.181 5.450
1.217 8.242 13.186
2.217 5.229 4.829
4.066 3.521 8.458
5.990 8.272 8.718
2.214 7.895 11.528
0.290 3.897 11.268
5.992 4.853 2.019
0.293 0.478 4.569
4.068 0.854 1.759
0.746 3.011 7.313
5.534 7.385 12.672
5.536 5.739 5.974
0.749 1.364 0.615
```

Calculated values
Total moment, μB per formula unit: 0.0
Excess energy over the best structure of this formula in the dataset, eV/atom: 0.000